Entry 1:
# Sm2Si2O7

Crystalline Sm2Si2O7 at its relaxed geometry (PBE, the Materials Project).

Output
Volume = 13.99 Å³/atom
Space group = P-1, No. 2
Final energy = -8.193 eV per atom

a = 5.475 Å, b = 8.612 Å, c = 13.080 Å
α = 90.46°, β = 92.39°, γ = 92.51°
Fractional coordinates of all 44 atoms:
Sm1 0.229 0.326 0.264
Sm2 0.235 0.798 0.241
Sm3 0.250 0.903 0.908
Sm4 0.257 0.395 0.586
Sm5 0.743 0.605 0.414
Sm6 0.750 0.097 0.092
Sm7 0.765 0.202 0.759
Sm8 0.771 0.674 0.736
Si1 0.199 0.255 0.981
Si2 0.215 0.004 0.679
Si3 0.295 0.501 0.820
Si4 0.302 0.747 0.527
Si5 0.698 0.253 0.473
Si6 0.705 0.499 0.180
Si7 0.785 0.996 0.321
Si8 0.801 0.745 0.019
O1 0.006 0.091 0.264
O2 0.019 0.854 0.083
O3 0.044 0.472 0.745
O4 0.047 0.647 0.548
O5 0.098 0.272 0.096
O6 0.105 0.174 0.657
O7 0.245 0.428 0.932
O8 0.297 0.922 0.574
O9 0.378 0.747 0.408
O10 0.391 0.683 0.822
O11 0.440 0.151 0.976
O12 0.450 0.016 0.762
O13 0.480 0.359 0.418
O14 0.485 0.585 0.239
O15 0.515 0.415 0.761
O16 0.520 0.641 0.582
O17 0.550 0.984 0.238
O18 0.560 0.849 0.024
O19 0.609 0.317 0.178
O20 0.622 0.253 0.592
O21 0.703 0.078 0.426
O22 0.755 0.572 0.068
O23 0.895 0.826 0.343
O24 0.902 0.728 0.904
O25 0.953 0.353 0.452
O26 0.956 0.528 0.255
O27 0.981 0.146 0.917
O28 0.994 0.909 0.736

---

Entry 2:
# Sm2SiO5

Crystalline Sm2SiO5 at its relaxed geometry (PBE, the Materials Project).

Output
Volume = 13.58 Å³/atom
Space group = P2_1/c, No. 14
Final energy = -8.261 eV per atom

a = 9.269 Å, b = 7.185 Å, c = 6.852 Å
α = 90.00°, β = 107.76°, γ = 90.00°
Fractional coordinates of all 32 atoms:
Sm1 0.025 0.124 0.234
Sm2 0.025 0.376 0.734
Sm3 0.386 0.147 0.084
Sm4 0.386 0.353 0.584
Sm5 0.614 0.647 0.416
Sm6 0.614 0.853 0.916
Sm7 0.975 0.624 0.266
Sm8 0.975 0.876 0.766
Si1 0.299 0.586 0.040
Si2 0.299 0.914 0.540
Si3 0.701 0.086 0.460
Si4 0.701 0.414 0.960
O1 0.116 0.122 0.950
O2 0.116 0.378 0.450
O3 0.117 0.636 0.993
O4 0.117 0.864 0.493
O5 0.295 0.069 0.357
O6 0.295 0.431 0.857
O7 0.368 0.041 0.746
O8 0.368 0.459 0.246
O9 0.405 0.734 0.550
O10 0.405 0.766 0.050
O11 0.595 0.234 0.950
O12 0.595 0.266 0.450
O13 0.632 0.541 0.754
O14 0.632 0.959 0.254
O15 0.705 0.569 0.143
O16 0.705 0.931 0.643
O17 0.883 0.136 0.507
O18 0.883 0.364 0.007
O19 0.884 0.622 0.550
O20 0.884 0.878 0.050

---

Entry 3:
# Sm2Si2O7

Crystalline Sm2Si2O7 at its relaxed geometry (PBE, the Materials Project).

Output
Volume = 12.76 Å³/atom
Space group = P4_1, No. 76
Final energy = -8.178 eV per atom
Size of the total moment = 0.00 Bohr magnetons per cell

a = 6.754 Å, b = 6.754 Å, c = 24.624 Å
α = 90.00°, β = 90.00°, γ = 90.00°
Fractional coordinates of all 88 atoms:
Sm1 0.021 0.661 0.000
Sm2 0.154 0.585 0.354
Sm3 0.216 0.282 0.104
Sm4 0.252 0.366 0.741
Sm5 0.282 0.784 0.854
Sm6 0.339 0.021 0.250
Sm7 0.366 0.748 0.491
Sm8 0.415 0.154 0.604
Sm9 0.585 0.846 0.104
Sm10 0.634 0.252 0.991
Sm11 0.661 0.979 0.750
Sm12 0.718 0.216 0.354
Sm13 0.748 0.634 0.241
Sm14 0.784 0.718 0.604
Sm15 0.846 0.415 0.854
Sm16 0.979 0.339 0.500
Si1 0.106 0.185 0.966
Si2 0.127 0.770 0.121
Si3 0.185 0.894 0.716
Si4 0.221 0.518 0.223
Si5 0.230 0.127 0.371
Si6 0.252 0.641 0.616
Si7 0.359 0.252 0.866
Si8 0.482 0.221 0.473
Si9 0.518 0.779 0.973
Si10 0.641 0.748 0.366
Si11 0.748 0.359 0.116
Si12 0.770 0.873 0.871
Si13 0.779 0.482 0.723
Si14 0.815 0.106 0.216
Si15 0.873 0.230 0.621
Si16 0.894 0.815 0.466
O1 0.005 0.026 0.739
O2 0.026 0.995 0.489
O3 0.043 0.267 0.389
O4 0.052 0.495 0.269
O5 0.055 0.642 0.447
O6 0.074 0.172 0.589
O7 0.082 0.622 0.173
O8 0.096 0.608 0.566
O9 0.114 0.775 0.659
O10 0.172 0.926 0.339
O11 0.225 0.114 0.909
O12 0.226 0.434 0.841
O13 0.266 0.291 0.006
O14 0.267 0.957 0.139
O15 0.268 0.634 0.080
O16 0.291 0.734 0.756
O17 0.302 0.312 0.197
O18 0.312 0.698 0.947
O19 0.334 0.391 0.496
O20 0.336 0.449 0.649
O21 0.358 0.055 0.697
O22 0.366 0.268 0.330
O23 0.378 0.082 0.423
O24 0.391 0.666 0.246
O25 0.392 0.096 0.816
O26 0.434 0.774 0.591
O27 0.449 0.664 0.399
O28 0.495 0.948 0.019
O29 0.505 0.052 0.519
O30 0.551 0.336 0.899
O31 0.566 0.226 0.091
O32 0.608 0.904 0.316
O33 0.609 0.334 0.746
O34 0.622 0.918 0.923
O35 0.634 0.732 0.830
O36 0.642 0.945 0.197
O37 0.664 0.551 0.149
O38 0.666 0.609 0.996
O39 0.688 0.302 0.447
O40 0.698 0.688 0.697
O41 0.709 0.266 0.256
O42 0.732 0.366 0.580
O43 0.733 0.043 0.639
O44 0.734 0.709 0.506
O45 0.774 0.566 0.341
O46 0.775 0.886 0.409
O47 0.828 0.074 0.839
O48 0.886 0.225 0.159
O49 0.904 0.392 0.066
O50 0.918 0.378 0.673
O51 0.926 0.828 0.089
O52 0.945 0.358 0.947
O53 0.948 0.505 0.769
O54 0.957 0.733 0.889
O55 0.974 0.005 0.989
O56 0.995 0.974 0.239

---

Entry 4:
# Sm2Si2O7

Crystalline Sm2Si2O7 at its relaxed geometry (PBE, the Materials Project).

Output
Volume = 12.45 Å³/atom
Space group = P2_1/c, No. 14
Final energy = -8.171 eV per atom
Size of the total moment = 0.00 Bohr magnetons per cell

a = 6.663 Å, b = 6.771 Å, c = 12.790 Å
α = 90.00°, β = 108.33°, γ = 90.00°
Fractional coordinates of all 44 atoms:
Sm1 0.028 0.109 0.362
Sm2 0.028 0.391 0.862
Sm3 0.350 0.175 0.153
Sm4 0.350 0.325 0.653
Sm5 0.650 0.675 0.347
Sm6 0.650 0.825 0.847
Sm7 0.972 0.609 0.138
Sm8 0.972 0.891 0.638
Si1 0.209 0.579 0.390
Si2 0.209 0.921 0.890
Si3 0.396 0.672 0.085
Si4 0.396 0.828 0.585
Si5 0.604 0.172 0.415
Si6 0.604 0.328 0.915
Si7 0.791 0.079 0.110
Si8 0.791 0.421 0.610
O1 0.001 0.722 0.333
O2 0.001 0.778 0.833
O3 0.163 0.106 0.959
O4 0.163 0.394 0.459
O5 0.225 0.013 0.550
O6 0.225 0.487 0.050
O7 0.290 0.671 0.650
O8 0.290 0.829 0.150
O9 0.297 0.514 0.289
O10 0.297 0.986 0.789
O11 0.374 0.091 0.340
O12 0.374 0.409 0.840
O13 0.405 0.720 0.469
O14 0.405 0.780 0.969
O15 0.595 0.220 0.031
O16 0.595 0.280 0.531
O17 0.626 0.591 0.160
O18 0.626 0.909 0.660
O19 0.703 0.014 0.211
O20 0.703 0.486 0.711
O21 0.710 0.171 0.850
O22 0.710 0.329 0.350
O23 0.775 0.513 0.950
O24 0.775 0.987 0.450
O25 0.837 0.606 0.541
O26 0.837 0.894 0.041
O27 0.999 0.222 0.167
O28 0.999 0.278 0.667